Entry from the Materials Project: a relaxed Ce2MnN3F crystal (PBE+U).

```
data_Ce2MnN3F
_cell_length_a 3.893
_cell_length_b 3.893
_cell_length_c 12.569
_cell_angle_alpha 90.00
_cell_angle_beta 90.00
_cell_angle_gamma 90.00
_symmetry_space_group_name_H-M 'I 4 m m'
_symmetry_Int_Tables_number 107
_symmetry_space_group_name_Hall 'I 4 -2'
loop_
_atom_site_label
_atom_site_type_symbol
_atom_site_fract_x
_atom_site_fract_y
_atom_site_fract_z
Ce1 Ce 0.000 0.000 0.000
Ce2 Ce 0.000 0.000 0.263
Mn1 Mn 0.000 0.000 0.615
N1 N 0.000 0.000 0.445
N2 N 0.000 0.500 0.141
F1 F 0.000 0.000 0.815
```

## Properties
total energy after the MP2020 corrections = -8.334 eV per atom
electronic total energy = -8.03 eV/atom
formation energy from the elements = -1.4841 eV per atom

***

Entry from the Materials Project: a relaxed K2CrO4 crystal (PBE+U).

```
data_K2CrO4
_cell_length_a 6.041
_cell_length_b 8.326
_cell_length_c 11.726
_cell_angle_alpha 90.00
_cell_angle_beta 118.96
_cell_angle_gamma 90.00
_symmetry_space_group_name_H-M 'P 1 21/c 1'
_symmetry_Int_Tables_number 14
loop_
_symmetry_equiv_pos_as_xyz
'x,y,z'
'-x,-y,-z'
'-x,y+1/2,-z+1/2'
'x,-y+1/2,z+1/2'
loop_
_atom_site_label
_atom_site_type_symbol
_atom_site_fract_x
_atom_site_fract_y
_atom_site_fract_z
K1 K 0.050 0.009 0.287
K2 K 0.285 0.728 0.593
Cr1 Cr 0.371 0.233 0.066
O1 O 0.258 0.202 0.907
O2 O 0.263 0.093 0.128
O3 O 0.273 0.087 0.585
O4 O 0.312 0.729 0.359
```

## Properties
total energy after the MP2020 corrections = -6.573 eV per atom
relative energy among the computed polymorphs = 0.016 eV per atom
electronic total energy = -5.89 eV/atom
formation energy from the elements = -2.0490 eV per atom

***

Entry from the Materials Project: a relaxed CaPrNbVO6 crystal (PBE+U).

```
data_CaPrNbVO6
_cell_length_a 8.033
_cell_length_b 8.033
_cell_length_c 8.033
_cell_angle_alpha 90.00
_cell_angle_beta 90.00
_cell_angle_gamma 90.00
_symmetry_space_group_name_H-M 'F -4 3 m'
_symmetry_Int_Tables_number 216
_symmetry_space_group_name_Hall 'F -4 2 3'
loop_
_atom_site_label
_atom_site_type_symbol
_atom_site_fract_x
_atom_site_fract_y
_atom_site_fract_z
Ca1 Ca 0.000 0.000 0.000
Pr1 Pr 0.000 0.000 0.500
Nb1 Nb 0.250 0.250 0.250
V1 V 0.250 0.250 0.750
O1 O 0.002 0.250 0.250
```

## Properties
total energy after the MP2020 corrections = -8.611 eV per atom
electronic total energy = -8.03 eV/atom
formation energy from the elements = -3.0446 eV per atom

***

Ordered total moment results: 5.0; 0.0; 3.0; unit μB per formula unit.